(1)
# Er2Zr2O7 (PBE, optimized geometry)
data_Er2Zr2O7
_chemical_formula_sum 'Er2 Zr2 O7'
_space_group_name_H-M_alt 'P 1'
_space_group_IT_number 1
_cell_length_a 5.880
_cell_length_b 5.880
_cell_length_c 5.614
_cell_angle_alpha 83.88
_cell_angle_beta 83.88
_cell_angle_gamma 107.69
loop_
_space_group_symop_operation_xyz
'x,y,z'
loop_
_atom_site_label
_atom_site_fract_x
_atom_site_fract_y
_atom_site_fract_z
O1 0.557 0.557 0.233
O2 0.000 0.000 0.000
O3 0.055 0.406 0.304
O4 0.406 0.055 0.304
O5 0.443 0.443 0.767
O6 0.945 0.594 0.696
O7 0.594 0.945 0.696
Zr1 0.256 0.256 0.104
Zr2 0.744 0.744 0.896
Er1 0.689 0.311 0.500
Er2 0.311 0.689 0.500
# Energy of formation from the pure elements, kJ/mol of formula units: -4100.8
# Energy, eV per atom: -8.96

(2)
# Er2Zr2O7 (PBE, optimized geometry)
data_Er2Zr2O7
_chemical_formula_sum 'Er4 Zr4 O14'
_space_group_name_H-M_alt 'P 1'
_space_group_IT_number 1
_cell_length_a 3.600
_cell_length_b 7.506
_cell_length_c 10.594
_cell_angle_alpha 90.00
_cell_angle_beta 90.00
_cell_angle_gamma 90.00
loop_
_space_group_symop_operation_xyz
'x,y,z'
loop_
_atom_site_label
_atom_site_fract_x
_atom_site_fract_y
_atom_site_fract_z
O1 0.500 0.750 0.619
O2 0.000 0.544 0.371
O3 0.000 0.518 0.880
O4 0.000 0.456 0.629
O5 0.000 0.982 0.880
O6 0.500 0.250 0.133
O7 0.500 0.750 0.867
O8 0.500 0.250 0.381
O9 0.000 0.018 0.120
O10 0.500 0.750 0.113
O11 0.500 0.250 0.887
O12 0.000 0.482 0.120
O13 0.000 0.956 0.371
O14 0.000 0.044 0.629
Er1 0.000 0.250 0.774
Er2 0.500 0.000 0.500
Er3 0.000 0.750 0.226
Er4 0.500 0.500 0.500
Zr1 0.000 0.750 0.754
Zr2 0.500 0.000 0.000
Zr3 0.000 0.250 0.246
Zr4 0.500 0.500 0.000
# Energy of formation from the pure elements, kJ/mol of formula units: -4022.9
# Energy, eV per atom: -8.89

(3)
# Er2Zr2O7 (PBE, optimized geometry)
data_Er2Zr2O7
_chemical_formula_sum 'Er4 Zr4 O14'
_space_group_name_H-M_alt 'P 1'
_space_group_IT_number 1
_cell_length_a 7.454
_cell_length_b 7.454
_cell_length_c 7.454
_cell_angle_alpha 60.00
_cell_angle_beta 60.00
_cell_angle_gamma 60.00
loop_
_space_group_symop_operation_xyz
'x,y,z'
loop_
_atom_site_label
_atom_site_fract_x
_atom_site_fract_y
_atom_site_fract_z
O1 0.532 0.532 0.968
O2 0.282 0.718 0.282
O3 0.718 0.282 0.282
O4 0.968 0.532 0.532
O5 0.532 0.968 0.968
O6 0.282 0.718 0.718
O7 0.532 0.968 0.532
O8 0.718 0.282 0.718
O9 0.968 0.532 0.968
O10 0.250 0.250 0.250
O11 0.968 0.968 0.532
O12 0.282 0.282 0.718
O13 0.000 0.000 0.000
O14 0.718 0.718 0.282
Er1 0.125 0.125 0.625
Er2 0.125 0.625 0.125
Er3 0.625 0.125 0.125
Er4 0.125 0.125 0.125
Zr1 0.625 0.625 0.125
Zr2 0.125 0.625 0.625
Zr3 0.625 0.125 0.625
Zr4 0.625 0.625 0.625
# Energy of formation from the pure elements, kJ/mol of formula units: -4097.3
# Energy, eV per atom: -8.96

(4)
# Er4Zr3O12 (PBE, optimized geometry)
data_Er4Zr3O12
_chemical_formula_sum 'Er8 Zr6 O24'
_space_group_name_H-M_alt 'P 1'
_space_group_IT_number 1
_cell_length_a 6.392
_cell_length_b 6.420
_cell_length_c 12.835
_cell_angle_alpha 99.12
_cell_angle_beta 99.46
_cell_angle_gamma 99.33
loop_
_space_group_symop_operation_xyz
'x,y,z'
loop_
_atom_site_label
_atom_site_fract_x
_atom_site_fract_y
_atom_site_fract_z
Er1 0.691 0.390 0.181
Er2 0.140 0.309 0.554
Er3 0.390 0.863 0.097
Er4 0.303 0.611 0.319
Er5 0.697 0.389 0.681
Er6 0.610 0.137 0.903
Er7 0.309 0.610 0.819
Er8 0.860 0.691 0.446
O1 0.815 0.408 0.531
O2 0.073 0.921 0.593
O3 0.959 0.094 0.912
O4 0.586 0.819 0.962
O5 0.828 0.425 0.034
O6 0.185 0.592 0.469
O7 0.322 0.959 0.295
O8 0.074 0.318 0.722
O9 0.922 0.689 0.789
O10 0.592 0.435 0.842
O11 0.078 0.311 0.211
O12 0.408 0.565 0.158
O13 0.927 0.079 0.407
O14 0.570 0.830 0.463
O15 0.318 0.944 0.788
O16 0.678 0.041 0.705
O17 0.414 0.181 0.038
O18 0.423 0.582 0.659
O19 0.577 0.418 0.341
O20 0.682 0.056 0.212
O21 0.926 0.682 0.278
O22 0.172 0.575 0.966
O23 0.041 0.906 0.088
O24 0.430 0.170 0.537
Zr1 0.610 0.144 0.407
Zr2 0.144 0.318 0.055
Zr3 0.856 0.682 0.945
Zr4 0.995 0.995 0.248
Zr5 0.390 0.856 0.593
Zr6 0.005 0.005 0.752
# Energy of formation from the pure elements, kJ/mol of formula units: -7264.8
# Offset from the most stable computed form, meV per atom: 4
# Energy, eV per atom: -8.97